Na5Fe2P2C2O14 GGA+U relaxed; space group = Pc; total magnetization = 9.0 μB per formula unit; E_form = -2.252 eV/atom; crystal system = monoclinic
1.0
9.0153 0.0000 0.0000
0.0000 6.5943 0.0000
-0.0876 0.0000 10.5028
Na Fe P C O
10 4 4 4 28
direct
0.0000 0.0014 0.0000
0.0000 0.9986 0.5000
0.1603 0.4909 0.2372
0.1603 0.5091 0.7372
0.3485 0.2466 0.4911
0.3482 0.2469 0.9885
0.3482 0.7531 0.4885
0.3485 0.7534 0.9911
0.8199 0.2303 0.7421
0.8199 0.7697 0.2421
0.4391 0.0020 0.2276
0.4391 0.9980 0.7276
0.7410 0.4968 0.0091
0.7410 0.5032 0.5091
0.5080 0.4986 0.7595
0.5080 0.5014 0.2595
0.6691 0.0004 0.4663
0.6691 0.9996 0.9663
0.0233 0.4984 0.4819
0.0233 0.5016 0.9819
0.1487 0.0046 0.7525
0.1487 0.9954 0.2525
0.0089 0.0178 0.7635
0.0089 0.9822 0.2635
0.1659 0.4995 0.4714
0.1659 0.5005 0.9714
0.2121 0.0023 0.1401
0.2121 0.9977 0.6401
0.2361 0.0032 0.3534
0.2361 0.9968 0.8534
0.4063 0.3132 0.7324
0.4063 0.6868 0.2324
0.4096 0.3154 0.2281
0.4096 0.6846 0.7281
0.5206 0.0019 0.0386
0.5206 0.9981 0.5386
0.5510 0.4997 0.4051
0.5510 0.5003 0.9051
0.6414 0.9998 0.3216
0.6414 0.0002 0.8216
0.6527 0.4917 0.6815
0.6527 0.5083 0.1815
0.7639 0.1887 0.5089
0.7639 0.8113 0.0089
0.7652 0.1920 0.9992
0.7652 0.8080 0.4992
0.9356 0.4884 0.8835
0.9356 0.5116 0.3835
0.9598 0.4842 0.5928
0.9598 0.5158 0.0928

Na5Fe2P2C2O14 GGA+U relaxed; space group = Pc; total magnetization = 9.0 μB per formula unit; E_form = -2.251 eV/atom; crystal system = monoclinic
1.0
10.3782 0.0000 0.0000
0.0000 6.6131 0.0000
-5.2604 0.0000 9.0893
Na Fe P C O
10 4 4 4 28
direct
0.0000 0.0013 0.0000
0.0000 0.9987 0.5000
0.1612 0.4913 0.8440
0.1612 0.5087 0.3440
0.3478 0.2488 0.1843
0.3479 0.2489 0.6841
0.3479 0.7511 0.1841
0.3478 0.7512 0.6843
0.8207 0.2336 0.1690
0.8207 0.7664 0.6690
0.4408 0.0006 0.4935
0.4408 0.9994 0.9935
0.7402 0.4961 0.8608
0.7402 0.5039 0.3608
0.5074 0.5001 0.4935
0.5074 0.4999 0.9935
0.6690 0.0016 0.3681
0.6690 0.9984 0.8681
0.0248 0.4987 0.5311
0.0248 0.5013 0.0311
0.1502 0.0044 0.3231
0.1502 0.9956 0.8231
0.0095 0.0153 0.2426
0.0095 0.9847 0.7426
0.1682 0.4997 0.1133
0.1682 0.5003 0.6133
0.2144 0.0021 0.9676
0.2144 0.9979 0.4676
0.2366 0.0018 0.7649
0.2366 0.9982 0.2649
0.4063 0.3160 0.9726
0.4063 0.6840 0.4726
0.4097 0.3146 0.4759
0.4097 0.6854 0.9759
0.5196 0.0008 0.7217
0.5196 0.9992 0.2217
0.5480 0.4993 0.3669
0.5480 0.5007 0.8669
0.6399 0.0019 0.4982
0.6399 0.9981 0.9982
0.6541 0.4934 0.1440
0.6541 0.5066 0.6440
0.7642 0.1897 0.3741
0.7642 0.8103 0.8741
0.7653 0.1913 0.8854
0.7653 0.8087 0.3854
0.9369 0.4879 0.0852
0.9369 0.5121 0.5852
0.9606 0.4838 0.3883
0.9606 0.5162 0.8883

Na2FePCO7 GGA+U relaxed; space group = P1; total magnetization = 5.0 μB per formula unit; E_form = -2.242 eV/atom; crystal system = triclinic
1.0
8.3378 0.0000 0.0000
1.8234 8.1707 0.0000
0.1491 0.0082 8.9580
Na Fe P C O
8 4 4 4 28
direct
0.0000 0.0000 0.0000
0.0021 0.4732 0.1709
0.1351 0.6275 0.8134
0.3725 0.3610 0.3447
0.4981 0.9775 0.1524
0.5030 0.5065 0.0004
0.8653 0.3586 0.8131
0.8713 0.8592 0.3454
0.2469 0.2470 0.7359
0.2779 0.7322 0.4255
0.7251 0.7688 0.7392
0.7744 0.2287 0.4260
0.0221 0.9701 0.6573
0.4843 0.0137 0.5027
0.5234 0.4714 0.6571
0.9843 0.5136 0.5083
0.2366 0.7445 0.1466
0.2604 0.2369 0.0167
0.7422 0.2502 0.1463
0.7707 0.7265 0.0185
0.0642 0.4307 0.6528
0.0801 0.1015 0.7523
0.1119 0.5744 0.4067
0.1430 0.8456 0.2396
0.1438 0.3463 0.9517
0.1683 0.8278 0.6118
0.2197 0.7547 0.0061
0.2786 0.2320 0.1570
0.3437 0.1645 0.5434
0.3523 0.6336 0.2093
0.3543 0.1343 0.9258
0.3939 0.4131 0.7592
0.4181 0.8930 0.4022
0.4422 0.5509 0.5135
0.5585 0.9344 0.6481
0.5959 0.5888 0.7565
0.6123 0.0742 0.4012
0.6428 0.3455 0.2396
0.6534 0.8352 0.9564
0.6660 0.3254 0.6123
0.7347 0.2703 0.0058
0.7912 0.7201 0.1584
0.8463 0.6623 0.5556
0.8537 0.1350 0.2088
0.8646 0.6249 0.9250
0.9068 0.8976 0.7637
0.9168 0.3917 0.4105
0.9356 0.0449 0.5144

Na2FePCO7 GGA+U relaxed; space group = P1; total magnetization = 5.0 μB per formula unit; E_form = -2.236 eV/atom; crystal system = triclinic
1.0
5.2483 0.0000 0.0000
0.0558 8.9542 0.0000
0.0029 0.0187 19.5954
Na Fe P C O
12 6 6 6 42
direct
0.0000 0.0000 0.0000
0.0007 0.0008 0.6665
0.0055 0.3301 0.2446
0.0145 0.3437 0.5814
0.0154 0.3458 0.9147
0.4711 0.1689 0.4105
0.4869 0.1806 0.0818
0.4875 0.1839 0.7481
0.5018 0.5305 0.5028
0.5027 0.5290 0.8331
0.5054 0.5260 0.1607
0.5059 0.5281 0.3258
0.0340 0.6110 0.0744
0.0335 0.6172 0.4108
0.0345 0.6106 0.7415
0.4635 0.9251 0.2442
0.4687 0.9195 0.5742
0.4686 0.9194 0.9079
0.5405 0.8404 0.7441
0.5402 0.8407 0.0782
0.5440 0.8426 0.4104
0.9633 0.6890 0.5782
0.9626 0.6895 0.9108
0.9643 0.6908 0.2438
0.5214 0.2040 0.2448
0.5222 0.1989 0.5797
0.5219 0.1991 0.9128
0.9800 0.3348 0.4121
0.9810 0.3307 0.7463
0.9825 0.3301 0.0791
0.0141 0.5870 0.6406
0.0143 0.5874 0.9732
0.0211 0.5887 0.1810
0.0259 0.5875 0.3067
0.0273 0.5909 0.8477
0.0319 0.5892 0.5156
0.1241 0.8324 0.5810
0.1241 0.8329 0.9139
0.1260 0.8318 0.2443
0.2064 0.3942 0.7483
0.2076 0.3938 0.0813
0.2077 0.3994 0.4116
0.2968 0.1354 0.5815
0.2966 0.1355 0.9147
0.2982 0.1408 0.2446
0.3779 0.6973 0.0800
0.3795 0.6969 0.7472
0.3853 0.6951 0.4117
0.4756 0.9390 0.6810
0.4758 0.9403 0.0153
0.4822 0.9402 0.4734
0.4859 0.9377 0.3471
0.4886 0.9421 0.8066
0.4923 0.9397 0.1415
0.5432 0.3481 0.2448
0.5485 0.3391 0.9078
0.5492 0.3389 0.5752
0.6718 0.7277 0.2448
0.6763 0.7335 0.5741
0.6756 0.7347 0.9074
0.7162 0.1057 0.5817
0.7162 0.1062 0.9151
0.7168 0.1156 0.2446
0.7867 0.4234 0.7486
0.7869 0.4325 0.4122
0.7878 0.4225 0.0808
0.8263 0.7918 0.4116
0.8268 0.7945 0.0739
0.8276 0.7955 0.7407
0.9497 0.1968 0.4123
0.9545 0.1906 0.7411
0.9561 0.1900 0.0743

Na2FePCO7 GGA+U relaxed; space group = Cm; total magnetization = 5.0 μB per formula unit; E_form = -2.237 eV/atom; crystal system = monoclinic
1.0
5.2649 -6.5262 0.0000
5.2649 6.5262 0.0000
-5.1727 0.0000 8.9612
Na Fe P C O
8 4 4 4 28
direct
0.0000 0.0000 0.0000
0.0590 0.3096 0.8254
0.1047 0.6252 0.1638
0.3096 0.0590 0.8254
0.5269 0.5269 0.9959
0.5683 0.8397 0.3532
0.6252 0.1047 0.1638
0.8397 0.5683 0.3532
0.0123 0.0123 0.4242
0.1290 0.6275 0.7378
0.4973 0.4973 0.4320
0.6275 0.1290 0.7378
0.2612 0.7606 0.5079
0.3708 0.3708 0.6587
0.7606 0.2612 0.5079
0.8765 0.8765 0.6586
0.2988 0.7897 0.0181
0.3432 0.3432 0.1484
0.7897 0.2988 0.0181
0.8337 0.8337 0.1476
0.1339 0.8217 0.4041
0.1440 0.6393 0.5550
0.1590 0.6422 0.9553
0.2202 0.2202 0.5157
0.2582 0.2582 0.0062
0.2927 0.2927 0.2400
0.2942 0.4814 0.7599
0.3397 0.8474 0.9246
0.3443 0.6553 0.4108
0.3873 0.8701 0.1582
0.4077 0.9187 0.6500
0.4814 0.2942 0.7599
0.4868 0.4868 0.2100
0.4907 0.4907 0.6140
0.6393 0.1440 0.5550
0.6422 0.1590 0.9553
0.6553 0.3443 0.4108
0.7239 0.7239 0.5147
0.7522 0.7522 0.0080
0.7839 0.7839 0.2428
0.8067 0.9968 0.7585
0.8217 0.1339 0.4041
0.8474 0.3397 0.9246
0.8701 0.3873 0.1582
0.9187 0.4077 0.6500
0.9779 0.9779 0.2119
0.9968 0.8067 0.7585
0.9984 0.9984 0.6136

Na2FePCO7 GGA+U relaxed; space group = P1; total magnetization = 5.0 μB per formula unit; E_form = -2.239 eV/atom; crystal system = triclinic
1.0
8.3865 0.0000 0.0000
-1.8293 8.2122 0.0000
-3.1512 -4.1503 8.9330
Na Fe P C O
8 4 4 4 28
direct
0.0000 0.0000 0.0000
0.0098 0.0161 0.5206
0.0693 0.3379 0.3531
0.4575 0.2109 0.1804
0.5014 0.5004 0.0003
0.5306 0.8014 0.3445
0.7586 0.2685 0.5202
0.9731 0.6995 0.1831
0.0572 0.3309 0.9209
0.4415 0.2008 0.6091
0.5559 0.8272 0.9149
0.9427 0.7006 0.6090
0.1919 0.4501 0.6870
0.3091 0.0701 0.8394
0.6985 0.9568 0.6885
0.8070 0.5721 0.8391
0.2334 0.4849 0.1986
0.2752 0.0344 0.3269
0.7342 0.9862 0.1997
0.7717 0.5371 0.3267
0.0677 0.3259 0.7294
0.0725 0.5217 0.5905
0.0869 0.3398 0.1316
0.1558 0.9182 0.6948
0.1832 0.9596 0.1872
0.2238 0.9861 0.4207
0.2362 0.1842 0.9423
0.2579 0.3274 0.5831
0.2835 0.5366 0.1051
0.3129 0.5677 0.3389
0.3474 0.5994 0.8299
0.4245 0.1961 0.7938
0.4250 0.9969 0.9362
0.4304 0.1666 0.3904
0.5814 0.8393 0.7367
0.5903 0.0374 0.5923
0.5900 0.8433 0.1386
0.6593 0.4145 0.6949
0.6817 0.4579 0.1868
0.7292 0.6820 0.9395
0.7328 0.4777 0.4201
0.7739 0.8451 0.5854
0.7835 0.0363 0.1069
0.8196 0.0739 0.3423
0.8550 0.1066 0.8327
0.9129 0.6853 0.3908
0.9224 0.6981 0.7938
0.9269 0.5035 0.9383

Na5Fe2P2C2O14 GGA+U relaxed; space group = P2_1; total magnetization = 9.0 μB per formula unit; E_form = -2.256 eV/atom; crystal system = monoclinic
1.0
10.3908 0.0000 0.0000
0.0000 6.6442 0.0000
-5.1490 0.0000 9.1046
Na Fe P C O
10 4 4 4 28
direct
0.0899 0.0000 0.1651
0.2517 0.7507 0.5120
0.2540 0.2476 0.5143
0.2650 0.2692 0.9971
0.4067 0.5088 0.3190
0.5933 0.0088 0.6810
0.7350 0.7692 0.0029
0.7460 0.7476 0.4857
0.7483 0.2507 0.4880
0.9101 0.5000 0.8349
0.0387 0.9950 0.6865
0.4724 0.4924 0.8238
0.5276 0.9924 0.1762
0.9613 0.4950 0.3135
0.1023 0.4980 0.6826
0.3908 0.0005 0.8102
0.6092 0.5005 0.1898
0.8977 0.9980 0.3174
0.0817 0.4963 0.1534
0.4160 0.0067 0.3602
0.5840 0.5067 0.6398
0.9183 0.9963 0.8466
0.0149 0.3103 0.6904
0.0155 0.6858 0.6908
0.0612 0.0128 0.8971
0.1021 0.4992 0.5325
0.1371 0.4803 0.0700
0.1637 0.4953 0.2974
0.2224 0.9905 0.6801
0.2622 0.4909 0.8067
0.3379 0.0170 0.2181
0.3518 0.9987 0.4396
0.3887 0.0136 0.9546
0.4406 0.5029 0.5785
0.4588 0.1850 0.7749
0.4717 0.8143 0.7947
0.5283 0.3143 0.2053
0.5412 0.6850 0.2251
0.5594 0.0029 0.4215
0.6113 0.5136 0.0454
0.6482 0.4987 0.5604
0.6621 0.5170 0.7819
0.7378 0.9909 0.1933
0.7776 0.4905 0.3199
0.8363 0.9953 0.7026
0.8629 0.9803 0.9300
0.8979 0.9992 0.4675
0.9388 0.5128 0.1029
0.9845 0.1858 0.3092
0.9851 0.8103 0.3096

no.,volume (A^3/atom),offset from the most stable computed form (meV/atom)
1,12.5,13
2,12.5,13
3,12.7,14
4,12.8,21
5,12.8,19
6,12.8,18
7,12.6,9